{"formula": "BaCaMg6O8", "functional": "PBE-GGA", "state": "relaxed", "total_energy_ev_per_atom": -5.6884, "delta_e_f_kj_per_mol_atoms": -262, "cell": [[8.9877, 0.0000, 0.0000], [0.0000, 4.7353, 0.0000], [0.0000, 0.0000, 4.7353]], "species": ["O", "O", "O", "O", "O", "O", "O", "O", "Mg", "Mg", "Mg", "Mg", "Mg", "Mg", "Ca", "Ba"], "frac_coords": [[0.7162, 0.5000, 0.5000], [0.2685, 0.0000, 0.0000], [0.5000, 0.5000, 0.0000], [0.7315, 0.0000, 0.0000], [0.0000, 0.5000, 0.0000], [0.2838, 0.5000, 0.5000], [0.5000, 0.0000, 0.5000], [0.0000, 0.0000, 0.5000], [0.7266, 0.5000, 0.0000], [0.5000, 0.5000, 0.5000], [0.7266, 0.0000, 0.5000], [0.2734, 0.0000, 0.5000], [0.2734, 0.5000, 0.0000], [0.5000, 0.0000, 0.0000], [0.0000, 0.0000, 0.0000], [0.0000, 0.5000, 0.5000]]}